Entry 1:
## Gd3NCl6 (PBE)

Data for a relaxed structure of Gd3NCl6.

Output
Energy with MP2020 corrections, eV/atom: -8.706
Formation energy from the elements, meV per atom: -2541

abc: 7.1593 8.2086 9.7755
angles: 75.31 70.94 65.28
With the nearest neighbours (Å) after each atom.
Fractional coordinates of all 20 atoms:
Gd (0.0884, 0.0845, 0.1876)  1 N 2.25
Gd (0.2203, 0.4279, 0.2798)  1 N 2.26
Gd (0.2411, 0.4166, 0.8738)  2 N 2.30-2.33
Gd (0.7589, 0.5834, 0.1262)  2 N 2.30-2.33
Gd (0.7797, 0.5721, 0.7202)  1 N 2.26
Gd (0.9116, 0.9155, 0.8124)  1 N 2.25
N (0.0920, 0.3671, 0.1233)  4 Gd 2.25-2.33
N (0.9080, 0.6329, 0.8767)  4 Gd 2.25-2.33
Cl (0.0314, 0.1773, 0.8951)  3 Gd 2.86-2.98
Cl (0.1988, 0.4166, 0.5899)  3 Gd 2.72-2.96
Cl (0.2111, 0.1018, 0.4147)  2 Gd 2.68-2.69
Cl (0.3246, 0.7180, 0.2976)  3 Gd 2.84-2.89
Cl (0.3360, 0.7398, 0.7084)  3 Gd 2.72-2.96
Cl (0.5000, 0.0000, 0.0000)  2 Gd 2.82
Cl (0.5000, 0.5000, 0.0000)  4 Gd 2.90
Cl (0.6640, 0.2602, 0.2916)  3 Gd 2.72-2.96
Cl (0.6754, 0.2820, 0.7024)  3 Gd 2.84-2.89
Cl (0.7889, 0.8982, 0.5853)  2 Gd 2.68-2.69
Cl (0.8012, 0.5834, 0.4101)  3 Gd 2.72-2.96
Cl (0.9686, 0.8227, 0.1049)  3 Gd 2.86-2.98



Entry 2:
## Na2Gd4NCl9O (PBE)

Data for a relaxed structure of Na2Gd4NCl9O.

Output
Energy with MP2020 corrections, eV/atom: -7.522
Formation energy from the elements, meV per atom: -2294
M_tot, μB per atom: 1.65

abc: 8.1941 11.1365 9.2789
angles: 90.00 106.49 90.00
With the nearest neighbours (Å) after each atom.
Fractional coordinates of all 34 atoms:
Na (0.2214, 0.0000, 0.4281)  6 Cl 2.83-2.99
Na (0.2228, 0.4772, 0.4286)  6 Cl 2.82-3.01
Na (0.7772, 0.9772, 0.5714)  6 Cl 2.82-3.01
Na (0.7786, 0.5000, 0.5719)  6 Cl 2.83-2.99
Gd (0.2870, 0.9496, 0.9536)  1 N 2.20, 1 O 2.33
Gd (0.2938, 0.5389, 0.9553)  1 O 2.24, 1 N 2.27
Gd (0.3902, 0.2370, 0.7834)  1 N 2.25, 1 O 2.30
Gd (0.4037, 0.2369, 0.1689)  1 N 2.26, 1 O 2.32
Gd (0.5963, 0.7369, 0.8311)  1 N 2.26, 1 O 2.32
Gd (0.6098, 0.7370, 0.2166)  1 N 2.25, 1 O 2.30
Gd (0.7062, 0.0389, 0.0447)  1 O 2.24, 1 N 2.27
Gd (0.7130, 0.4496, 0.0464)  1 N 2.20, 1 O 2.33
N (0.4393, 0.1155, 0.9847)  4 Gd 2.20-2.27
N (0.5607, 0.6155, 0.0153)  4 Gd 2.20-2.27
Cl (0.1054, 0.0754, 0.6925)  2 Na 2.82-2.99, 2 Gd 2.83-2.88
Cl (0.1097, 0.4025, 0.6971)  2 Na 2.85-3.01, 2 Gd 2.88
Cl (0.1161, 0.0860, 0.1202)  2 Gd 2.81-2.82, 1 Na 2.90
Cl (0.1198, 0.3931, 0.1172)  2 Gd 2.83-2.85, 1 Na 2.92
Cl (0.2416, 0.7401, 0.7488)  3 Gd 2.79-2.97
Cl (0.2598, 0.7401, 0.1426)  3 Gd 2.75-2.96
Cl (0.3500, 0.2376, 0.4661)  2 Na 2.83-2.85, 2 Gd 2.87-2.91
Cl (0.4950, 0.9846, 0.6953)  2 Na 2.84-2.86, 2 Gd 3.05-3.12, 1 O 3.15
Cl (0.4956, 0.4917, 0.6947)  2 Na 2.83-2.86, 2 Gd 3.02-3.14
Cl (0.5044, 0.9917, 0.3053)  2 Na 2.83-2.86, 2 Gd 3.02-3.14
Cl (0.5050, 0.4846, 0.3047)  2 Na 2.84-2.86, 2 Gd 3.05-3.12, 1 O 3.15
Cl (0.6500, 0.7376, 0.5339)  2 Na 2.83-2.85, 2 Gd 2.87-2.91
Cl (0.7402, 0.2401, 0.8574)  3 Gd 2.75-2.96
Cl (0.7584, 0.2401, 0.2512)  3 Gd 2.79-2.97
Cl (0.8802, 0.8931, 0.8828)  2 Gd 2.83-2.85, 1 Na 2.92
Cl (0.8839, 0.5860, 0.8798)  2 Gd 2.81-2.82, 1 Na 2.90
Cl (0.8903, 0.9025, 0.3029)  2 Na 2.85-3.01, 2 Gd 2.88
Cl (0.8946, 0.5754, 0.3075)  2 Na 2.82-2.99, 2 Gd 2.83-2.88
O (0.4412, 0.3666, 0.9848)  4 Gd 2.24-2.33
O (0.5588, 0.8666, 0.0152)  4 Gd 2.24-2.33



Entry 3:
## Na2GdCl5 (PBE)

Data for a relaxed structure of Na2GdCl5.

Output
Energy with MP2020 corrections, eV/atom: -5.651
Formation energy from the elements, meV per atom: -2406

abc: 12.1950 8.3454 7.7819
angles: 90.00 90.00 90.00
With the nearest neighbours (Å) after each atom.
Fractional coordinates of all 32 atoms:
Na (0.1710, 0.0053, 0.0483)  8 Cl 3.00-3.23
Na (0.1710, 0.4947, 0.0483)  8 Cl 3.00-3.23
Na (0.3290, 0.5053, 0.5483)  8 Cl 3.00-3.23
Na (0.3290, 0.9947, 0.5483)  8 Cl 3.00-3.23
Na (0.6710, 0.0053, 0.4517)  8 Cl 3.00-3.23
Na (0.6710, 0.4947, 0.4517)  8 Cl 3.00-3.23
Na (0.8290, 0.5053, 0.9517)  8 Cl 3.00-3.23
Na (0.8290, 0.9947, 0.9517)  8 Cl 3.00-3.23
Gd (0.0065, 0.2500, 0.5785)  7 Cl 2.72-2.79
Gd (0.4935, 0.7500, 0.0785)  7 Cl 2.72-2.79
Gd (0.5065, 0.2500, 0.9215)  7 Cl 2.72-2.79
Gd (0.9935, 0.7500, 0.4215)  7 Cl 2.72-2.79
Cl (0.0062, 0.2500, 0.9347)  1 Gd 2.77, 4 Na 3.00-3.04
Cl (0.0811, 0.5451, 0.6692)  2 Gd 2.72-2.79
Cl (0.0811, 0.9549, 0.6692)  2 Gd 2.72-2.79
Cl (0.1851, 0.2500, 0.3686)  1 Gd 2.72
Cl (0.2101, 0.7500, 0.3332)  1 Gd 2.73, 2 Na 3.01
Cl (0.2899, 0.2500, 0.8332)  1 Gd 2.73, 2 Na 3.01
Cl (0.3149, 0.7500, 0.8686)  1 Gd 2.72
Cl (0.4189, 0.0451, 0.1692)  2 Gd 2.72-2.79
Cl (0.4189, 0.4549, 0.1692)  2 Gd 2.72-2.79
Cl (0.4938, 0.7500, 0.4347)  1 Gd 2.77, 4 Na 3.00-3.04
Cl (0.5062, 0.2500, 0.5653)  1 Gd 2.77, 4 Na 3.00-3.04
Cl (0.5811, 0.5451, 0.8308)  2 Gd 2.72-2.79
Cl (0.5811, 0.9549, 0.8308)  2 Gd 2.72-2.79
Cl (0.6851, 0.2500, 0.1314)  1 Gd 2.72
Cl (0.7101, 0.7500, 0.1668)  1 Gd 2.73, 2 Na 3.01
Cl (0.7899, 0.2500, 0.6669)  1 Gd 2.73, 2 Na 3.01
Cl (0.8149, 0.7500, 0.6314)  1 Gd 2.72
Cl (0.9189, 0.0451, 0.3308)  2 Gd 2.72-2.79
Cl (0.9189, 0.4549, 0.3308)  2 Gd 2.72-2.79
Cl (0.9938, 0.7500, 0.0653)  1 Gd 2.77, 4 Na 3.00-3.04



Entry 4:
## Na3GdCl6 (PBE)

Data for a relaxed structure of Na3GdCl6.

Output
Polymorph energy (0 for the lowest one), eV/atom: 0.145
Energy with MP2020 corrections, eV/atom: -5.131
Formation energy from the elements, meV per atom: -2218
M_tot, μB per atom: 0.70

abc: 7.5639 7.5639 7.5639
angles: 60.00 60.00 60.00
With the nearest neighbours (Å) after each atom.
Fractional coordinates of all 10 atoms:
Na (0.0000, 0.0000, 0.0000)  6 Cl 2.70
Na (0.2500, 0.2500, 0.2500)  12 Cl 3.78
Na (0.7500, 0.7500, 0.7500)  12 Cl 3.78
Gd (0.5000, 0.5000, 0.5000)  6 Cl 2.65
Cl (0.2525, 0.2525, 0.7475)  1 Gd 2.65, 1 Na 2.70
Cl (0.2525, 0.7475, 0.2525)  1 Gd 2.65, 1 Na 2.70
Cl (0.2525, 0.7475, 0.7475)  1 Gd 2.65, 1 Na 2.70
Cl (0.7475, 0.2525, 0.2525)  1 Gd 2.65, 1 Na 2.70
Cl (0.7475, 0.2525, 0.7475)  1 Gd 2.65, 1 Na 2.70
Cl (0.7475, 0.7475, 0.2525)  1 Gd 2.65, 1 Na 2.70



> Which of these has the lowest energy with MP2020 corrections?

Gd3NCl6



> The highest formation energy from the elements belongs to which entry?

Na3GdCl6